Entry 1:
First-principles (PBE-GGA) data for a relaxed ScH3C3O6 crystal, as listed in Materials Project.

POSCAR file:
```
ScH3C3O6
1.0
-4.298 -1.083 -5.119
7.104 -1.115 -5.729
1.251 -10.411 1.153
H C O Sc
12 12 24 4
Cartesian
5.274 -10.549 -6.340
1.447 -7.492 -1.453
1.751 -3.222 -2.173
4.483 -3.986 -6.014
-0.542 -4.459 -4.903
-1.216 -2.061 -3.354
2.307 -9.388 -7.522
3.551 -9.530 -1.298
2.611 -5.117 -8.242
-0.425 -8.624 -3.681
0.507 -3.079 -8.397
4.600 -8.150 -4.792
4.337 -1.525 -4.161
4.613 -11.303 -6.801
0.272 -4.205 -5.606
3.786 -8.404 -4.089
0.665 -7.738 -0.710
3.393 -4.871 -8.984
4.538 -4.896 -5.385
1.343 -4.249 -2.095
-0.555 -1.306 -2.893
-0.280 -11.084 -5.534
-0.480 -7.713 -4.309
2.715 -8.360 -7.600
-0.453 -7.140 -0.797
-0.758 -1.039 -1.668
-0.832 -6.624 -3.761
3.116 -4.022 -9.878
3.068 -1.527 -4.206
-1.027 -11.588 -4.644
0.086 -4.368 -2.024
4.816 -11.570 -8.026
3.972 -8.241 -7.671
0.941 -8.587 0.183
0.990 -11.082 -5.489
4.511 -5.469 -8.898
0.903 -3.127 -5.419
0.528 -5.021 -6.547
5.085 -1.022 -5.051
3.716 -11.845 -6.089
3.155 -9.482 -4.276
3.530 -7.588 -3.148
2.159 -5.220 -2.091
-0.192 -7.838 -5.534
4.889 -5.985 -5.934
4.249 -4.771 -4.160
1.899 -7.389 -7.604
0.342 -0.764 -3.605
0.000 0.000 0.000
-1.523 -5.747 -1.983
1.403 -1.099 -5.424
4.178 -5.763 -2.288
```

* E_tot: -7.0826 eV/atom
* formation enthalpy at 0 K: -1.72 eV/atom
* magnetization: 0.000 μB per atom
* relative energy among the computed polymorphs: 3 kJ/mol of formula units

=====

Entry 2:
First-principles (PBE-GGA) data for a relaxed Pb2O3 crystal, as listed in Materials Project.

POSCAR file:
```
Pb2O3
1.0
8.294 0.000 0.000
0.000 3.411 0.000
0.000 1.257 5.711
Pb O
4 6
Cartesian
4.147 0.000 0.000
2.074 1.797 2.576
0.000 0.000 0.000
6.221 2.871 3.135
7.994 1.701 1.421
4.447 1.701 1.421
3.847 2.967 4.290
0.300 2.967 4.290
6.221 1.265 4.839
2.074 3.403 0.873
```

* E_tot: -5.4172 eV/atom
* formation enthalpy at 0 K: -1.38 eV/atom

=====

Entry 3:
First-principles (PBE-GGA) data for a relaxed TmInPt crystal, as listed in Materials Project.

POSCAR file:
```
TmInPt
1.0
-1.323 1.904 -3.026
6.252 4.411 0.041
-0.076 -6.491 -4.050
In Pt Tm
3 3 3
Cartesian
-0.056 -4.785 -2.986
1.624 -0.547 -1.054
4.609 3.251 0.030
-0.662 0.952 -1.513
4.143 0.777 -1.323
2.033 -2.857 -2.686
1.868 2.736 -1.497
-0.692 -1.674 -3.152
3.016 -0.287 -3.900
```

* E_tot: -5.4272 eV/atom
* formation enthalpy at 0 K: -0.99 eV/atom

=====

Q: formation enthalpy at 0 K of number 1 (ScH3C3O6)?
A: -1.72 eV/atom

=====

Q: Number 2 is which compound?
A: Pb2O3